[1]
{"formula": "LiNi2O4", "functional": "PBE+U", "state": "optimized geometry", "corrected_energy_ev_per_atom": -5.9119, "de_polymorph_ev_per_atom": 0.056, "total_energy_ev_per_atom": -4.793, "lattice": [[5.670, 0.000, 0.000], [2.835, 4.911, 0.000], [0.000, 0.000, 9.428]], "species": ["O", "O", "O", "O", "O", "O", "O", "O", "O", "O", "O", "O", "O", "O", "O", "O", "Li", "Li", "Li", "Li", "Ni", "Ni", "Ni", "Ni", "Ni", "Ni", "Ni", "Ni"], "fractional_positions": [[0.000, 0.000, 0.808], [0.966, 0.517, 0.332], [0.034, 0.483, 0.832], [0.000, 0.000, 0.308], [0.682, 0.159, 0.106], [0.483, 0.034, 0.832], [0.517, 0.966, 0.332], [0.333, 0.333, 0.613], [0.841, 0.841, 0.606], [0.517, 0.517, 0.332], [0.159, 0.682, 0.106], [0.159, 0.159, 0.106], [0.667, 0.667, 0.113], [0.841, 0.318, 0.606], [0.318, 0.841, 0.606], [0.483, 0.483, 0.832], [0.000, 0.000, 0.497], [0.333, 0.333, 0.389], [0.000, 0.000, 0.997], [0.667, 0.667, 0.889], [0.667, 0.667, 0.490], [0.338, 0.831, 0.215], [0.333, 0.333, 0.990], [0.169, 0.169, 0.715], [0.831, 0.338, 0.215], [0.169, 0.662, 0.715], [0.662, 0.169, 0.715], [0.831, 0.831, 0.215]]}


[2]
{"formula": "CaVSi4H8O15", "functional": "PBE+U", "state": "optimized geometry", "corrected_energy_ev_per_atom": -6.9947, "total_energy_ev_per_atom": -6.581, "lattice": [[9.769, 0.000, 0.000], [0.000, 9.844, 0.000], [0.000, 0.000, 14.006]], "species": ["O", "O", "O", "O", "O", "O", "O", "O", "O", "O", "O", "O", "O", "O", "O", "O", "O", "O", "O", "O", "O", "O", "O", "O", "O", "O", "O", "O", "O", "O", "O", "O", "O", "O", "O", "O", "O", "O", "O", "O", "O", "O", "O", "O", "O", "O", "O", "O", "O", "O", "O", "O", "O", "O", "O", "O", "O", "O", "O", "O", "H", "H", "H", "H", "H", "H", "H", "H", "H", "H", "H", "H", "H", "H", "H", "H", "H", "H", "H", "H", "H", "H", "H", "H", "H", "H", "H", "H", "H", "H", "H", "H", "Si", "Si", "Si", "Si", "Si", "Si", "Si", "Si", "Si", "Si", "Si", "Si", "Si", "Si", "Si", "Si", "V", "V", "V", "V", "Ca", "Ca", "Ca", "Ca"], "fractional_positions": [[0.091, 0.797, 0.342], [0.591, 0.703, 0.158], [0.684, 0.817, 0.502], [0.409, 0.297, 0.658], [0.409, 0.297, 0.842], [0.184, 0.683, 0.502], [0.955, 0.829, 0.507], [0.701, 0.551, 0.018], [0.455, 0.671, 0.993], [0.201, 0.949, 0.018], [0.822, 0.913, 0.151], [0.678, 0.413, 0.651], [0.634, 0.135, 0.750], [0.201, 0.949, 0.482], [0.458, 0.558, 0.750], [0.091, 0.797, 0.158], [0.184, 0.683, 0.998], [0.909, 0.203, 0.658], [0.212, 0.313, 0.250], [0.955, 0.829, 0.993], [0.045, 0.171, 0.007], [0.299, 0.449, 0.518], [0.545, 0.329, 0.493], [0.366, 0.865, 0.250], [0.045, 0.171, 0.493], [0.455, 0.671, 0.507], [0.866, 0.635, 0.250], [0.909, 0.203, 0.842], [0.134, 0.365, 0.750], [0.545, 0.329, 0.007], [0.528, 0.050, 0.121], [0.472, 0.950, 0.621], [0.972, 0.550, 0.621], [0.822, 0.913, 0.349], [0.178, 0.087, 0.849], [0.528, 0.050, 0.379], [0.028, 0.450, 0.121], [0.788, 0.687, 0.750], [0.816, 0.317, 0.498], [0.972, 0.550, 0.879], [0.472, 0.950, 0.879], [0.799, 0.051, 0.982], [0.042, 0.058, 0.250], [0.816, 0.317, 0.002], [0.678, 0.413, 0.849], [0.701, 0.551, 0.482], [0.322, 0.587, 0.151], [0.542, 0.442, 0.250], [0.684, 0.817, 0.998], [0.299, 0.449, 0.982], [0.958, 0.942, 0.750], [0.799, 0.051, 0.518], [0.591, 0.703, 0.342], [0.316, 0.183, 0.002], [0.028, 0.450, 0.379], [0.178, 0.087, 0.651], [0.316, 0.183, 0.498], [0.288, 0.813, 0.750], [0.712, 0.187, 0.250], [0.322, 0.587, 0.349], [0.311, 0.303, 0.250], [0.689, 0.697, 0.750], [0.444, 0.069, 0.085], [0.828, 0.779, 0.750], [0.915, 0.631, 0.613], [0.944, 0.431, 0.085], [0.672, 0.279, 0.250], [0.085, 0.369, 0.387], [0.585, 0.131, 0.113], [0.197, 0.369, 0.804], [0.803, 0.631, 0.304], [0.303, 0.869, 0.304], [0.056, 0.569, 0.915], [0.415, 0.869, 0.887], [0.556, 0.931, 0.915], [0.303, 0.869, 0.196], [0.444, 0.069, 0.415], [0.056, 0.569, 0.585], [0.189, 0.803, 0.750], [0.803, 0.631, 0.196], [0.172, 0.221, 0.250], [0.811, 0.197, 0.250], [0.556, 0.931, 0.585], [0.585, 0.131, 0.387], [0.944, 0.431, 0.415], [0.697, 0.131, 0.696], [0.415, 0.869, 0.613], [0.085, 0.369, 0.113], [0.328, 0.721, 0.750], [0.915, 0.631, 0.887], [0.697, 0.131, 0.804], [0.197, 0.369, 0.696], [0.106, 0.816, 0.456], [0.183, 0.096, 0.964], [0.817, 0.904, 0.036], [0.394, 0.316, 0.544], [0.317, 0.596, 0.036], [0.894, 0.184, 0.544], [0.317, 0.596, 0.464], [0.817, 0.904, 0.464], [0.394, 0.316, 0.956], [0.683, 0.404, 0.536], [0.894, 0.184, 0.956], [0.183, 0.096, 0.536], [0.683, 0.404, 0.964], [0.606, 0.684, 0.456], [0.106, 0.816, 0.044], [0.606, 0.684, 0.044], [0.025, 0.095, 0.750], [0.975, 0.905, 0.250], [0.475, 0.595, 0.250], [0.525, 0.405, 0.750], [0.618, 0.916, 0.250], [0.382, 0.084, 0.750], [0.882, 0.416, 0.750], [0.118, 0.584, 0.250]]}


[3]
{"formula": "Li4FeTeW2O12", "functional": "PBE+U", "state": "optimized geometry", "corrected_energy_ev_per_atom": -7.2932, "de_polymorph_ev_per_atom": 0.009, "total_energy_ev_per_atom": -6.324, "lattice": [[3.049, -4.051, 1.102], [0.577, 4.348, 14.566], [-4.423, -2.913, 1.504]], "species": ["Li", "Li", "Li", "Li", "Li", "Li", "Li", "Li", "O", "O", "O", "O", "O", "O", "O", "O", "O", "O", "O", "O", "O", "O", "O", "O", "O", "O", "O", "O", "O", "O", "O", "O", "W", "W", "W", "W", "Te", "Te", "Fe", "Fe"], "fractional_positions": [[0.010, 0.135, 0.599], [0.993, 0.403, 0.601], [0.500, 0.113, 0.981], [0.507, 0.601, 0.933], [0.496, 0.905, 0.068], [0.998, 0.904, 0.592], [0.495, 0.400, 0.040], [0.004, 0.634, 0.586], [0.205, 0.021, 0.682], [0.803, 0.473, 0.321], [0.323, 0.020, 0.192], [0.833, 0.283, 0.668], [0.887, 0.631, 0.991], [0.639, 0.117, 0.497], [0.136, 0.210, 0.306], [0.296, 0.712, 0.796], [0.190, 0.715, 0.309], [0.363, 0.384, 0.508], [0.682, 0.290, 0.134], [0.803, 0.782, 0.690], [0.627, 0.632, 0.507], [0.366, 0.869, 0.485], [0.697, 0.964, 0.794], [0.128, 0.371, 0.988], [0.877, 0.129, 0.963], [0.328, 0.530, 0.193], [0.122, 0.864, 0.983], [0.209, 0.533, 0.693], [0.796, 0.962, 0.307], [0.698, 0.478, 0.798], [0.309, 0.212, 0.816], [0.686, 0.782, 0.192], [0.993, 0.750, 0.009], [0.991, 0.251, 0.015], [0.513, 0.003, 0.501], [0.498, 0.501, 0.498], [0.503, 0.255, 0.518], [0.495, 0.752, 0.503], [0.006, 0.499, 0.016], [0.997, 0.004, 0.013]]}


[4]
{"formula": "Eu2NiO4", "functional": "PBE+U", "state": "optimized geometry", "corrected_energy_ev_per_atom": -9.1137, "de_polymorph_ev_per_atom": 0.003, "total_energy_ev_per_atom": -8.358, "lattice": [[2.693, -6.112, 0.000], [2.693, 6.112, 0.000], [0.000, 0.000, 5.397]], "species": ["Eu", "Eu", "Eu", "Eu", "O", "O", "O", "O", "O", "O", "O", "O", "Ni", "Ni"], "fractional_positions": [[0.860, 0.140, 0.508], [0.360, 0.640, 0.992], [0.640, 0.360, 0.008], [0.140, 0.860, 0.492], [0.256, 0.244, 0.750], [0.744, 0.756, 0.250], [0.244, 0.256, 0.250], [0.827, 0.173, 0.979], [0.673, 0.327, 0.479], [0.327, 0.673, 0.521], [0.173, 0.827, 0.021], [0.756, 0.744, 0.750], [0.000, 0.000, 0.000], [0.500, 0.500, 0.500]]}


[5]
{"formula": "Li4CrTeW2O12", "functional": "PBE+U", "state": "optimized geometry", "corrected_energy_ev_per_atom": -7.4411, "de_polymorph_ev_per_atom": 0.000, "total_energy_ev_per_atom": -6.485, "lattice": [[-0.003, 2.929, -4.273], [0.586, 6.192, 4.275], [11.001, -0.035, -0.016]], "species": ["Li", "Li", "Li", "Li", "Li", "Li", "Li", "Li", "O", "O", "O", "O", "O", "O", "O", "O", "O", "O", "O", "O", "O", "O", "O", "O", "O", "O", "O", "O", "O", "O", "O", "O", "Cr", "Cr", "W", "W", "W", "W", "Te", "Te"], "fractional_positions": [[0.494, 0.809, 0.025], [0.000, 0.800, 0.792], [0.506, 0.216, 0.980], [0.005, 0.262, 0.288], [0.497, 0.800, 0.530], [0.989, 0.813, 0.297], [0.010, 0.272, 0.795], [0.506, 0.207, 0.473], [0.887, 0.259, 0.499], [0.822, 0.557, 0.829], [0.792, 0.926, 0.154], [0.304, 0.428, 0.410], [0.319, 0.051, 0.098], [0.375, 0.746, 0.746], [0.628, 0.255, 0.750], [0.680, 0.563, 0.595], [0.829, 0.572, 0.354], [0.308, 0.426, 0.896], [0.696, 0.945, 0.897], [0.803, 0.941, 0.658], [0.143, 0.436, 0.156], [0.890, 0.257, 0.987], [0.674, 0.575, 0.062], [0.205, 0.057, 0.348], [0.697, 0.935, 0.401], [0.641, 0.236, 0.256], [0.122, 0.740, 0.506], [0.125, 0.738, 0.989], [0.205, 0.049, 0.844], [0.325, 0.049, 0.598], [0.196, 0.431, 0.658], [0.347, 0.757, 0.255], [0.003, 0.997, 0.003], [0.004, 0.000, 0.504], [0.983, 0.503, 0.003], [0.507, 0.004, 0.748], [0.997, 0.502, 0.504], [0.507, 0.006, 0.250], [0.500, 0.503, 0.750], [0.481, 0.515, 0.253]]}


[6]
{"formula": "Fe2PH2CO7", "functional": "PBE+U", "state": "optimized geometry", "corrected_energy_ev_per_atom": -7.4936, "de_polymorph_ev_per_atom": 0.000, "total_energy_ev_per_atom": -6.777, "lattice": [[-1.794, -0.937, 4.466], [-5.252, -5.297, -3.221], [5.115, -14.932, -1.078]], "species": ["Fe", "Fe", "Fe", "Fe", "Fe", "Fe", "Fe", "Fe", "O", "O", "O", "O", "O", "O", "O", "O", "O", "O", "O", "O", "O", "O", "O", "O", "O", "O", "O", "O", "O", "O", "O", "O", "O", "O", "O", "O", "P", "P", "P", "P", "C", "C", "C", "C", "H", "H", "H", "H", "H", "H", "H", "H"], "fractional_positions": [[0.041, 0.934, 0.859], [0.459, 0.934, 0.359], [0.967, 0.607, 0.304], [0.033, 0.393, 0.696], [0.533, 0.607, 0.804], [0.959, 0.066, 0.141], [0.467, 0.393, 0.196], [0.541, 0.066, 0.641], [0.794, 0.186, 0.804], [0.294, 0.814, 0.696], [0.359, 0.053, 0.902], [0.650, 0.797, 0.489], [0.183, 0.668, 0.406], [0.150, 0.203, 0.011], [0.683, 0.332, 0.094], [0.641, 0.947, 0.098], [0.729, 0.431, 0.937], [0.659, 0.851, 0.271], [0.350, 0.203, 0.511], [0.377, 0.390, 0.784], [0.859, 0.947, 0.598], [0.123, 0.390, 0.284], [0.206, 0.814, 0.196], [0.817, 0.332, 0.594], [0.623, 0.610, 0.216], [0.229, 0.569, 0.563], [0.841, 0.851, 0.771], [0.771, 0.431, 0.437], [0.850, 0.797, 0.989], [0.877, 0.610, 0.716], [0.341, 0.149, 0.729], [0.317, 0.668, 0.906], [0.159, 0.149, 0.229], [0.271, 0.569, 0.063], [0.141, 0.053, 0.402], [0.706, 0.186, 0.304], [0.979, 0.807, 0.692], [0.521, 0.807, 0.192], [0.021, 0.193, 0.308], [0.479, 0.193, 0.808], [0.882, 0.432, 0.508], [0.618, 0.432, 0.008], [0.382, 0.568, 0.992], [0.118, 0.568, 0.492], [0.244, 0.139, 0.978], [0.512, 0.713, 0.532], [0.256, 0.139, 0.478], [0.756, 0.861, 0.022], [0.012, 0.287, 0.968], [0.488, 0.287, 0.468], [0.744, 0.861, 0.522], [0.988, 0.713, 0.032]]}


[7]
{"formula": "Na8Ti3FeSi16O44", "functional": "PBE+U", "state": "optimized geometry", "corrected_energy_ev_per_atom": -7.8455, "total_energy_ev_per_atom": -7.394, "lattice": [[0.000, 0.000, -8.055], [0.000, 10.853, 0.000], [10.853, 0.000, 0.000]], "species": ["O", "O", "O", "O", "O", "O", "O", "O", "O", "O", "O", "O", "O", "O", "O", "O", "O", "O", "O", "O", "O", "O", "O", "O", "O", "O", "O", "O", "O", "O", "O", "O", "O", "O", "O", "O", "O", "O", "O", "O", "O", "O", "O", "O", "Si", "Si", "Si", "Si", "Si", "Si", "Si", "Si", "Si", "Si", "Si", "Si", "Si", "Si", "Si", "Si", "Na", "Na", "Na", "Na", "Na", "Na", "Na", "Na", "Ti", "Ti", "Ti", "Fe"], "fractional_positions": [[0.500, 0.698, 0.962], [0.486, 0.500, 0.500], [0.307, 0.133, 0.403], [0.695, 0.400, 0.867], [0.267, 0.322, 0.551], [0.267, 0.551, 0.678], [0.000, 0.537, 0.196], [0.695, 0.867, 0.600], [0.500, 0.302, 0.038], [0.766, 0.174, 0.953], [0.766, 0.953, 0.826], [0.766, 0.047, 0.174], [0.000, 0.196, 0.463], [0.695, 0.600, 0.133], [0.193, 0.902, 0.366], [0.695, 0.133, 0.400], [0.307, 0.403, 0.867], [0.193, 0.634, 0.902], [0.731, 0.323, 0.548], [0.500, 0.962, 0.302], [0.233, 0.822, 0.057], [0.805, 0.901, 0.367], [0.000, 0.463, 0.804], [0.233, 0.178, 0.943], [0.233, 0.057, 0.178], [0.805, 0.633, 0.901], [0.994, 0.500, 0.500], [0.805, 0.099, 0.633], [0.494, 0.000, 0.000], [0.267, 0.678, 0.449], [0.307, 0.597, 0.133], [0.500, 0.038, 0.698], [0.193, 0.098, 0.634], [0.307, 0.867, 0.597], [0.193, 0.366, 0.098], [0.731, 0.677, 0.452], [0.233, 0.943, 0.822], [0.267, 0.449, 0.322], [0.000, 0.804, 0.537], [0.766, 0.826, 0.047], [0.805, 0.367, 0.099], [0.731, 0.452, 0.323], [0.024, 0.000, 0.000], [0.731, 0.548, 0.677], [0.691, 0.988, 0.693], [0.308, 0.014, 0.307], [0.808, 0.808, 0.488], [0.308, 0.693, 0.014], [0.808, 0.512, 0.808], [0.191, 0.514, 0.809], [0.191, 0.191, 0.514], [0.691, 0.012, 0.307], [0.191, 0.809, 0.486], [0.691, 0.307, 0.988], [0.191, 0.486, 0.191], [0.308, 0.307, 0.986], [0.691, 0.693, 0.012], [0.808, 0.192, 0.512], [0.308, 0.986, 0.693], [0.808, 0.488, 0.192], [0.001, 0.872, 0.182], [0.502, 0.631, 0.315], [0.001, 0.128, 0.818], [0.001, 0.818, 0.872], [0.502, 0.685, 0.631], [0.001, 0.182, 0.128], [0.502, 0.369, 0.685], [0.502, 0.315, 0.369], [0.268, 0.500, 0.500], [0.707, 0.000, 0.000], [0.782, 0.500, 0.500], [0.246, 0.000, 0.000]]}


[8]
{"formula": "FeCl3O6", "functional": "PBE+U", "state": "optimized geometry", "corrected_energy_ev_per_atom": -4.2217, "total_energy_ev_per_atom": -3.996, "lattice": [[2.608, 5.784, 0.000], [-2.608, 5.784, 0.000], [0.000, 1.668, 5.979]], "species": ["O", "O", "O", "O", "O", "O", "Cl", "Cl", "Cl", "Fe"], "fractional_positions": [[0.600, 0.170, 0.900], [0.400, 0.830, 0.100], [0.611, 0.611, 0.981], [0.830, 0.400, 0.100], [0.170, 0.600, 0.900], [0.389, 0.389, 0.019], [0.500, 0.500, 0.500], [0.122, 0.122, 0.645], [0.878, 0.878, 0.355], [0.000, 0.000, 0.000]]}


Number 1: energy of formation -1.1603 eV per atom. Number 2: energy of formation -2.3688 eV per atom. Number 3: energy of formation -2.0662 eV per atom. Number 4: energy of formation -2.5300 eV per atom. Number 5: energy of formation -2.1549 eV per atom. Number 6: energy of formation -1.8779 eV per atom. Number 7: energy of formation -3.0226 eV per atom. Number 8: energy of formation 0.1486 eV per atom.